No. 1
Material: YTiGe
Method: DFT, GGA-PBE
State: optimized geometry

Properties
- ρ (g/cm³) = 5.45
- magnetization (μB/atom) = 0.6137
- DFT total energy (eV per atom) = -7.01
- formation energy (eV/atom) = -0.684
- space-group type = I4/mmm

a b c (Å): 4.060 4.060 15.475
angles (deg): 90.00 90.00 90.00
Atoms (fractional coordinates):
Y  0.000  0.000  0.174
Y  0.000  0.000  0.826
Y  0.500  0.500  0.326
Y  0.500  0.500  0.674
Ti  0.000  0.500  0.000
Ti  0.000  0.500  0.500
Ti  0.500  0.000  0.000
Ti  0.500  0.000  0.500
Ge  0.000  0.000  0.378
Ge  0.000  0.000  0.622
Ge  0.500  0.500  0.122
Ge  0.500  0.500  0.878



No. 2
Material: Tl3Ge
Method: DFT, GGA-PBE
State: optimized geometry

Properties
- ρ (g/cm³) = 10.08
- magnetization (μB/atom) = 0.0002
- DFT total energy (eV per atom) = -2.77
- formation energy (eV/atom) = 0.153
- space-group type = I4/mmm

a b c (Å): 5.344 5.344 7.909
angles (deg): 90.00 90.00 90.00
Atoms (fractional coordinates):
Tl  0.000  0.000  0.000
Tl  0.000  0.500  0.250
Tl  0.000  0.500  0.750
Tl  0.500  0.000  0.250
Tl  0.500  0.000  0.750
Tl  0.500  0.500  0.500
Ge  0.000  0.000  0.500
Ge  0.500  0.500  0.000



No. 3
Material: Tl3Ge
Method: DFT, GGA-PBE
State: optimized geometry

Properties
- ρ (g/cm³) = 10.18
- magnetization (μB/atom) = 0.0003
- DFT total energy (eV per atom) = -2.75
- formation energy (eV/atom) = 0.176
- space-group type = Pm-3m

a b c (Å): 4.819 4.819 4.819
angles (deg): 90.00 90.00 90.00
Atoms (fractional coordinates):
Tl  0.000  0.000  0.500
Tl  0.000  0.500  0.000
Tl  0.500  0.000  0.000
Ge  0.500  0.500  0.500



No. 4
Material: Tl3Ge
Method: DFT, GGA-PBE
State: optimized geometry

Properties
- ρ (g/cm³) = 9.90
- magnetization (μB/atom) = 0.0005
- DFT total energy (eV per atom) = -2.76
- formation energy (eV/atom) = 0.169
- space-group type = P6_3/mmc

a b c (Å): 7.048 7.048 5.350
angles (deg): 90.00 90.00 120.00
Atoms (fractional coordinates):
Tl  0.173  0.346  0.250
Tl  0.173  0.827  0.250
Tl  0.346  0.173  0.750
Tl  0.654  0.827  0.250
Tl  0.827  0.173  0.750
Tl  0.827  0.654  0.750
Ge  0.333  0.667  0.750
Ge  0.667  0.333  0.250